# 1
The following is a DFT calculation (GGA+U) of MgFeCuO2 after structural relaxation.

Geometry as CIF:
```
data_MgFeCuO2
_chemical_formula_sum 'Mg1 Fe1 Cu1 O2'
_cell_length_a 3.1251
_cell_length_b 3.1251
_cell_length_c 7.9035
_cell_angle_alpha 78.11
_cell_angle_beta 78.11
_cell_angle_gamma 60.24
_symmetry_space_group_name_H-M 'P 1'
_symmetry_Int_Tables_number 1
loop_
_symmetry_equiv_pos_as_xyz
'x,y,z'
loop_
_atom_site_label
_atom_site_fract_x
_atom_site_fract_y
_atom_site_fract_z
_atom_site_occupancy
Cu1 0.9723 0.9723 0.0858 1
O1 0.8873 0.8873 0.3352 1
Fe1 0.5154 0.5154 0.4454 1
Mg1 0.4070 0.4070 0.7876 1
O2 0.1139 0.1139 0.6689 1
```

Output
Excess energy over the best structure of this formula in the dataset in meV/atom: 40
Crystal system: monoclinic
E in eV per atom: -5.35
DFT formation energy in meV/atom: -1259

***

# 2
The following is a DFT calculation (GGA+U) of Sr4MgFe2Cu2S2O6 after structural relaxation.

Geometry as CIF:
```
data_Sr4MgFe2Cu2S2O6
_chemical_formula_sum 'Sr4 Mg1 Fe2 Cu2 S2 O6'
_cell_length_a 4.0183
_cell_length_b 4.0183
_cell_length_c 16.3165
_cell_angle_alpha 90.00
_cell_angle_beta 90.00
_cell_angle_gamma 90.00
_symmetry_space_group_name_H-M 'P 1'
_symmetry_Int_Tables_number 1
loop_
_symmetry_equiv_pos_as_xyz
'x,y,z'
loop_
_atom_site_label
_atom_site_fract_x
_atom_site_fract_y
_atom_site_fract_z
_atom_site_occupancy
Sr1 0.2500 0.2500 0.6287 1
Cu1 0.7500 0.2500 0.0000 1
O1 0.7500 0.2500 0.7222 1
O2 0.7500 0.7500 0.5516 1
Cu2 0.2500 0.7500 0.0000 1
O3 0.2500 0.7500 0.2730 1
Mg1 0.7500 0.2500 0.5000 1
S1 0.2500 0.2500 0.0837 1
O4 0.2500 0.7500 0.7270 1
O5 0.7500 0.2500 0.2778 1
Sr2 0.7500 0.7500 0.1720 1
Fe1 0.2500 0.2500 0.2848 1
O6 0.2500 0.2500 0.4484 1
Fe2 0.7500 0.7500 0.7152 1
S2 0.7500 0.7500 0.9163 1
Sr3 0.7500 0.7500 0.3713 1
Sr4 0.2500 0.2500 0.8280 1
```

Output
Crystal system: tetragonal
E in eV per atom: -5.54
DFT formation energy in meV/atom: -1909